No. 1
Here is a relaxed structure of CuBSe2 from Materials Project. Energies are from meta-GGA r2SCAN.

Cell: 6.112 6.112 6.112 Å, 128.76 128.76 75.39°
Fractional coordinates of all 8 atoms:
Cu 0.000 0.000 0.000
Cu 0.750 0.250 0.500
B 0.250 0.750 0.500
B 0.500 0.500 0.000
Se 0.171 0.625 0.046
Se 0.375 0.421 0.546
Se 0.579 0.125 0.954
Se 0.875 0.829 0.454

Summary:
The value obtained for the formation energy is -0.186 eV per atom. The spin magnetization comes out at 0.00 μB per formula unit. The calculation puts the calculated density at 5.71 g/cm3. The electronic total energy comes out at -95.12 eV per cell. As for the symmetry: I-42d (122).

No. 2
Here is a relaxed structure of DyB2 from Materials Project. Energies are from meta-GGA r2SCAN.

Cell: 3.295 3.295 3.860 Å, 90.00 90.00 120.00°
Fractional coordinates of all 3 atoms:
Dy 0.000 0.000 0.000
B 0.333 0.667 0.500
B 0.667 0.333 0.500

Summary:
The value obtained for the formation energy is -0.643 eV per atom. The spin magnetization comes out at 0.00 μB per formula unit. The calculation puts the calculated density at 8.43 g/cm3. The electronic total energy comes out at -48.60 eV per cell. As for the symmetry: P6/mmm (191).

No. 3
Here is a relaxed structure of DyB6 from Materials Project. Energies are from meta-GGA r2SCAN.

Cell: 4.084 4.084 4.084 Å, 90.00 90.00 90.00°
Fractional coordinates of all 7 atoms:
Dy 0.000 0.000 0.000
B 0.199 0.500 0.500
B 0.500 0.199 0.500
B 0.500 0.500 0.199
B 0.500 0.500 0.801
B 0.500 0.801 0.500
B 0.801 0.500 0.500

Summary:
The value obtained for the formation energy is -0.461 eV per atom. The spin magnetization comes out at 0.00 μB per formula unit. The calculation puts the calculated density at 5.54 g/cm3. The electronic total energy comes out at -79.28 eV per cell. As for the symmetry: Pm-3m (221).